# 1
The following is a DFT calculation (PBE+U) of an optimized crystal structure of LaMnO3.

POSCAR file:
```
LaMnO3
1.0
1.030 0.945 3.712
-5.745 -8.668 3.801
4.641 -3.276 -0.454
O Mn La
12 4 4
Cartesian
-2.618 -7.968 6.993
0.033 -1.858 0.464
-2.839 -6.193 2.364
1.391 -3.307 2.575
-0.298 -7.498 1.991
2.894 -4.789 4.655
0.023 -9.123 6.555
2.575 -3.164 0.091
0.254 -3.633 5.093
5.130 -2.805 1.410
2.258 -7.139 3.310
-1.481 -7.641 4.476
-2.009 -8.157 2.634
0.863 -3.824 0.734
-1.095 -11.917 3.337
1.777 -7.585 1.438
-0.133 -5.518 3.561
0.829 -9.205 4.233
2.740 -1.183 1.660
3.701 -4.872 2.333
```

Summary:
theoretical density	6.42	g cm⁻³
MP2020-corrected energy	-8.747	eV per atom
volume	62.58	Å³/f.u.
DFT formation energy	-2958	meV per atom

***

# 2
The following is a DFT calculation (PBE+U) of an optimized crystal structure of La7Mn8O24.

POSCAR file:
```
La7Mn8O24
1.0
-3.887 3.887 7.907
3.887 -3.887 7.907
3.887 3.887 -7.907
La Mn O
7 8 24
Cartesian
0.000 0.000 0.000
0.000 0.000 3.945
3.887 0.000 3.953
0.000 0.000 7.907
0.000 3.887 0.031
0.000 0.000 11.868
0.000 3.887 7.875
1.968 1.920 -2.008
5.805 1.920 -2.008
1.920 1.968 2.008
1.966 -1.919 9.915
-1.919 1.966 5.898
1.919 1.966 5.898
1.920 5.805 2.008
1.966 1.919 9.915
2.055 -1.831 3.953
5.718 -1.831 3.953
3.887 1.703 -1.827
2.294 0.000 1.930
5.479 0.000 1.930
3.887 -1.593 5.977
1.918 1.918 0.000
1.969 -1.969 7.907
0.000 1.541 1.954
2.294 3.887 -1.989
1.592 0.000 5.918
3.887 2.294 1.989
2.055 1.831 3.953
5.718 1.831 3.953
3.887 1.593 5.977
1.703 3.887 1.827
2.184 0.000 9.734
0.000 2.184 6.079
-1.969 1.969 7.907
1.969 1.969 7.907
0.000 1.592 9.895
-2.345 3.887 5.953
2.345 3.887 5.953
0.000 6.232 1.954
```

Summary:
theoretical density	6.24	g cm⁻³
space group	I-4m2
MP2020-corrected energy	-8.669	eV per atom
volume	477.73	Å³/f.u.
ΔE to the lowest computed polymorph	16	meV per atom
DFT formation energy	-2859	meV per atom

***

# 3
The following is a DFT calculation (PBE+U) of an optimized crystal structure of LaMnO3.

POSCAR file:
```
LaMnO3
1.0
3.939 0.000 0.000
0.000 3.952 7.889
0.000 -3.952 7.889
La Mn O
4 4 12
Cartesian
0.000 -1.999 7.889
0.000 -1.977 11.817
0.000 1.999 7.889
0.000 1.977 11.817
1.970 0.000 1.973
1.970 0.000 5.926
1.970 0.000 9.844
1.970 0.000 13.804
0.000 0.000 1.955
0.000 0.000 5.916
0.000 0.000 9.850
0.000 0.000 13.836
1.970 0.000 0.045
1.970 -2.061 5.927
1.970 0.000 3.913
1.970 -2.062 9.857
1.970 0.000 7.924
1.970 2.061 5.927
1.970 0.000 11.774
1.970 2.062 9.857
```

Summary:
theoretical density	6.54	g cm⁻³
space group	Amm2
MP2020-corrected energy	-8.688	eV per atom
volume	61.41	Å³/f.u.
DFT formation energy	-2899	meV per atom

***

# 4
The following is a DFT calculation (PBE+U) of an optimized crystal structure of La5MnOs3O16.

POSCAR file:
```
La5MnOs3O16
1.0
5.706 0.000 0.000
-0.086 5.717 0.000
-0.673 -0.727 10.207
La Mn Os O
5 1 3 16
Cartesian
0.000 0.000 0.000
-0.330 2.376 7.238
2.498 5.348 3.032
2.449 -0.358 7.175
5.277 2.614 2.969
2.474 2.495 5.103
-0.337 -0.363 5.103
2.442 2.485 1.088
2.505 2.504 9.119
0.005 -0.046 7.011
0.680 1.319 4.724
1.028 3.841 1.334
1.168 1.144 1.784
1.290 4.318 5.057
1.059 3.826 8.838
1.174 1.071 9.523
2.120 2.089 7.187
2.827 2.901 3.020
3.773 3.919 0.684
3.888 1.164 1.369
3.658 0.672 5.150
3.779 3.846 8.423
3.919 1.149 8.873
4.267 3.671 5.483
4.942 5.036 3.196
```

Summary:
theoretical density	7.86	g cm⁻³
space group	P-1
MP2020-corrected energy	-8.658	eV per atom
volume	332.96	Å³/f.u.
DFT formation energy	-2790	meV per atom

***

# 5
The following is a DFT calculation (PBE+U) of an optimized crystal structure of La2Mn3PbO9.

POSCAR file:
```
La2Mn3PbO9
1.0
5.611 0.000 0.000
-2.805 4.859 0.000
0.000 0.000 13.537
La Mn Pb O
4 6 2 18
Cartesian
0.000 3.239 1.144
0.000 3.239 7.912
2.805 1.620 5.625
2.805 1.620 12.393
0.000 0.000 0.000
0.000 0.000 6.768
0.000 3.239 4.517
0.000 3.239 11.286
2.805 1.620 2.251
2.805 1.620 9.020
0.000 0.000 3.384
0.000 0.000 10.153
-1.278 2.213 3.384
-1.528 2.646 10.153
-0.348 1.661 12.481
-1.541 3.727 5.712
0.348 1.661 5.712
-1.193 4.330 12.481
1.612 0.529 7.824
1.265 1.132 1.056
2.555 0.000 3.384
1.278 2.213 10.153
3.055 0.000 10.153
1.528 2.646 3.384
1.541 3.727 12.481
1.193 4.330 5.712
3.998 0.529 1.056
2.457 3.198 7.824
4.346 1.132 7.824
3.153 3.198 1.056
```

Summary:
theoretical density	7.14	g cm⁻³
space group	P-3c1
MP2020-corrected energy	-8.280	eV per atom
volume	184.51	Å³/f.u.
DFT formation energy	-2574	meV per atom

***

# 6
The following is a DFT calculation (PBE+U) of an optimized crystal structure of La3PrMn4O12.

POSCAR file:
```
La3PrMn4O12
1.0
5.612 0.000 0.000
0.000 7.950 0.000
-0.003 0.000 5.630
La Pr Mn O
3 1 4 12
Cartesian
0.000 0.000 0.000
0.101 3.975 0.368
2.903 0.000 2.819
2.794 3.975 3.213
0.050 1.994 2.994
0.050 5.956 2.994
2.860 1.991 0.186
2.860 5.959 0.186
0.517 0.000 3.071
1.314 2.361 4.583
1.314 5.589 4.583
1.619 2.360 1.785
1.619 5.589 1.785
2.386 0.000 0.256
3.327 3.975 0.088
4.104 1.635 4.214
4.104 6.314 4.214
4.420 1.628 1.393
4.420 6.322 1.393
5.172 3.975 2.919
```

Summary:
theoretical density	6.41	g cm⁻³
space group	Pm
MP2020-corrected energy	-8.766	eV per atom
volume	251.17	Å³/f.u.
DFT formation energy	-2985	meV per atom

***

# 7
The following is a DFT calculation (PBE+U) of an optimized crystal structure of RbLaMnWO6.

POSCAR file:
```
RbLaMnWO6
1.0
5.768 0.000 0.000
0.000 5.788 0.000
-0.076 0.000 8.359
Rb La Mn W O
2 2 2 2 12
Cartesian
1.403 0.000 0.006
4.289 2.894 8.353
1.378 0.239 4.178
4.314 3.133 4.181
1.411 2.966 6.294
4.281 0.072 2.066
1.381 2.935 2.136
4.311 0.041 6.224
0.023 1.261 6.217
0.214 1.385 2.118
1.001 2.813 4.150
1.617 2.942 0.271
2.649 4.399 2.576
2.804 4.580 5.780
2.888 1.685 2.579
3.043 1.505 5.783
4.075 0.048 8.088
4.691 5.707 4.210
5.478 4.279 6.241
5.669 4.156 2.143
```

Summary:
theoretical density	6.65	g cm⁻³
space group	P2_1
MP2020-corrected energy	-8.429	eV per atom
volume	139.54	Å³/f.u.
DFT formation energy	-2657	meV per atom

***

# 8
The following is a DFT calculation (PBE+U) of an optimized crystal structure of La5MnRe3O16.

POSCAR file:
```
La5MnRe3O16
1.0
8.125 0.000 0.000
-4.059 10.709 0.000
-0.027 -4.609 15.391
La Mn Re O
20 4 12 64
Cartesian
0.000 0.000 0.000
-0.014 -2.305 7.695
-2.147 6.255 4.510
-2.158 3.947 12.202
-1.968 7.321 0.622
-1.978 5.016 8.319
1.949 -0.071 10.922
1.970 2.235 3.234
2.134 1.003 7.030
2.117 -1.305 14.727
4.056 -1.152 3.850
-0.017 7.252 11.540
1.923 7.405 0.663
1.906 5.097 8.361
2.069 3.865 12.157
2.090 6.171 4.468
6.017 1.084 7.072
6.007 -1.221 14.768
6.197 2.153 3.188
6.186 -0.155 10.881
-0.007 3.626 5.772
-0.023 1.322 13.466
4.062 4.778 1.925
4.047 2.474 9.619
-0.025 -2.576 12.365
-0.011 -0.267 4.667
0.000 4.778 1.928
-0.016 2.474 9.615
-0.005 7.522 6.874
-0.019 5.216 14.571
4.059 0.884 0.820
4.045 -1.422 8.516
4.056 3.626 5.776
4.040 1.322 13.462
4.051 6.367 10.724
4.064 8.676 3.025
-1.981 2.581 9.132
-1.964 4.890 1.431
0.014 -0.081 2.621
0.000 -2.386 10.318
-0.034 -0.115 6.653
-0.048 -2.421 14.350
-0.020 -0.493 12.319
-0.006 1.814 4.623
-0.026 0.546 9.504
-0.009 2.856 1.810
-2.141 8.340 3.068
-2.150 6.037 10.760
-1.947 4.907 14.560
-1.932 7.214 6.864
-0.478 4.608 3.839
-0.489 2.309 11.537
0.472 4.945 0.010
0.466 2.645 7.701
1.917 0.039 4.681
1.900 -2.263 12.373
2.134 1.217 0.780
2.121 -1.090 8.477
0.008 6.697 2.037
-0.005 4.393 9.733
-0.023 3.135 14.616
-0.010 5.441 6.920
0.018 7.367 4.889
0.003 5.063 12.585
-0.017 9.637 1.226
-0.030 7.334 8.922
1.959 4.669 2.414
1.944 2.366 10.106
2.095 3.734 5.285
2.080 1.431 12.976
4.069 -1.234 6.469
4.057 -3.537 14.165
4.036 1.037 2.806
4.022 -1.267 10.501
4.050 0.659 8.470
4.063 2.965 0.775
4.045 1.707 5.658
4.032 -0.597 13.353
1.918 7.190 6.913
1.906 4.883 14.610
2.139 8.363 3.018
2.122 6.061 10.709
3.574 3.455 7.690
3.567 1.155 15.381
4.528 3.791 3.854
4.517 1.492 11.552
5.971 -1.114 8.527
5.987 1.193 0.831
6.189 0.063 4.631
6.180 -2.240 12.322
4.049 3.244 13.581
4.065 5.554 5.887
4.045 4.286 10.767
4.060 6.593 3.072
4.087 8.521 1.041
4.074 6.215 8.737
4.039 8.486 5.073
4.025 6.181 12.770
6.003 1.210 13.959
6.020 3.519 6.259
```

Summary:
theoretical density	7.76	g cm⁻³
space group	P-1
MP2020-corrected energy	-9.028	eV per atom
volume	334.82	Å³/f.u.
DFT formation energy	-3015	meV per atom

***

# 9
The following is a DFT calculation (PBE+U) of an optimized crystal structure of La2MnRhO6.

POSCAR file:
```
La2MnRhO6
1.0
3.703 -4.504 -0.050
-3.821 -3.208 5.934
-6.832 -5.542 -7.106
La O Rh Mn
8 24 4 4
Cartesian
-4.441 -10.776 -0.881
-1.024 -8.005 2.672
-1.270 -4.451 4.383
-5.681 -8.803 -5.605
-4.686 -7.221 0.830
-5.926 -5.248 -3.893
-2.265 -6.031 -2.052
-2.510 -2.478 -0.340
-7.317 -7.570 1.028
0.367 -5.684 -2.247
-1.114 -8.230 -2.413
2.302 -5.460 1.140
-1.177 -6.977 0.166
-3.358 -4.995 -0.169
-2.963 -6.447 2.354
-5.774 -6.276 -1.388
-6.774 -7.766 -3.722
-3.592 -8.259 -1.054
-1.718 -6.783 4.914
-2.358 -3.506 2.165
-5.233 -6.469 -6.136
-3.988 -6.806 -3.574
-0.176 -5.488 2.499
-4.593 -9.748 -3.387
-3.050 -8.455 -5.801
-0.572 -4.036 -0.021
-1.817 -3.698 -2.583
-9.252 -7.793 -2.363
-3.900 -4.799 4.581
-6.380 -9.218 -1.199
-5.835 -5.022 1.190
-5.134 -9.554 1.361
-5.184 -8.012 -2.387
-3.534 -10.482 2.331
-1.768 -5.242 1.166
-10.653 -8.749 -1.172
-3.273 -6.409 -5.354
-5.326 -4.375 -0.586
-8.742 -7.146 -4.139
0.143 -3.638 -1.801
```

Summary:
theoretical density	6.91	g cm⁻³
MP2020-corrected energy	-8.371	eV per atom
volume	127.77	Å³/f.u.
DFT formation energy	-2763	meV per atom

***

# 10
The following is a DFT calculation (PBE+U) of an optimized crystal structure of La2MnRuO6.

POSCAR file:
```
La2MnRuO6
1.0
5.652 0.000 0.000
0.000 5.805 0.000
-5.568 0.000 8.025
La Mn Ru O
4 2 2 12
Cartesian
-0.064 0.352 1.990
-2.848 2.550 6.002
2.932 3.255 2.023
0.148 5.453 6.035
2.826 0.000 0.000
0.042 2.903 4.013
-2.784 0.000 4.013
0.000 2.903 0.000
-4.489 1.219 7.578
-1.705 1.683 3.566
-3.918 4.033 7.609
-1.134 4.674 3.596
-2.185 0.163 5.957
0.599 2.740 1.944
-0.515 3.065 6.081
2.269 5.642 2.068
1.218 1.131 4.429
4.002 1.772 0.416
1.789 4.122 4.459
4.573 4.586 0.447
```

Summary:
theoretical density	6.68	g cm⁻³
space group	P2_1/c
MP2020-corrected energy	-8.577	eV per atom
volume	131.65	Å³/f.u.
DFT formation energy	-2777	meV per atom

***

# 11
The following is a DFT calculation (PBE+U) of an optimized crystal structure of SrLaMnRuO6.

POSCAR file:
```
SrLaMnRuO6
1.0
2.868 1.656 4.561
-2.868 1.656 4.561
0.000 -3.312 4.561
Sr La Mn Ru O
1 1 1 1 6
Cartesian
0.000 0.000 0.000
0.000 0.000 6.849
0.000 0.000 3.436
0.000 0.000 10.288
-2.382 -0.085 6.892
-0.384 -1.602 9.220
1.265 -2.020 6.892
-1.195 1.133 9.220
1.117 2.105 6.892
1.579 0.469 9.220
```

Summary:
theoretical density	6.11	g cm⁻³
space group	R3
MP2020-corrected energy	-8.076	eV per atom
volume	129.98	Å³/f.u.
ΔE to the lowest computed polymorph	15	meV per atom
DFT formation energy	-2601	meV per atom